AgPO4 | PBE-GGA | relaxed

abc: 5.1079 9.7410 15.4186
angles: 95.45 99.51 105.16
Last column: nearest neighbours and their distance in Å.
Positions (direct):
Ag (0.0000, 0.0000, 0.0000)  4 O 2.05-2.11
Ag (0.0000, 0.5000, 0.5000)  4 O 2.02-2.13
Ag (0.3835, 0.2297, 0.5274)  4 O 2.07-2.25
Ag (0.3847, 0.7319, 0.0277)  4 O 2.08-2.26
Ag (0.4188, 0.7488, 0.2499)  4 O 2.14-2.31
Ag (0.5812, 0.2512, 0.7501)  4 O 2.14-2.31
Ag (0.6153, 0.2681, 0.9723)  4 O 2.08-2.26
Ag (0.6165, 0.7703, 0.4726)  4 O 2.07-2.25
P (0.1037, 0.9123, 0.3826)  4 O 1.53-1.60
P (0.1901, 0.4126, 0.8832)  4 O 1.53-1.60
P (0.3828, 0.4328, 0.3673)  4 O 1.50-1.59
P (0.4192, 0.9330, 0.8666)  4 O 1.50-1.61
P (0.5808, 0.0670, 0.1334)  4 O 1.50-1.61
P (0.6172, 0.5672, 0.6327)  4 O 1.50-1.59
P (0.8099, 0.5874, 0.1168)  4 O 1.53-1.60
P (0.8963, 0.0877, 0.6174)  4 O 1.53-1.60
O (0.0132, 0.6020, 0.2058)  1 P 1.55
O (0.0819, 0.3118, 0.9478)  1 P 1.53
O (0.0922, 0.3922, 0.3957)  1 P 1.58
O (0.1699, 0.8071, 0.4463)  1 P 1.55
O (0.1993, 0.8932, 0.2934)  1 P 1.54
O (0.2160, 0.0726, 0.4174)  1 P 1.53
O (0.2254, 0.1228, 0.6356)  1 P 1.60
O (0.2563, 0.8919, 0.9454)  1 P 1.61
O (0.2736, 0.5757, 0.9163)  1 P 1.54
O (0.2753, 0.8652, 0.7739)  1 P 1.50
O (0.3078, 0.1074, 0.1059)  1 P 1.55
O (0.3755, 0.3650, 0.2752)  1 P 1.50
O (0.4193, 0.6121, 0.5564)  1 P 1.59
O (0.4607, 0.3728, 0.8637)  1 P 1.60
O (0.4703, 0.1008, 0.8670)  1 P 1.59
O (0.4947, 0.6006, 0.3687)  1 P 1.58
O (0.5053, 0.3994, 0.6313)  1 P 1.58
O (0.5297, 0.8992, 0.1330)  1 P 1.59
O (0.5393, 0.6272, 0.1363)  1 P 1.60
O (0.5807, 0.3879, 0.4436)  1 P 1.59
O (0.6245, 0.6350, 0.7248)  1 P 1.50
O (0.6922, 0.8926, 0.8941)  1 P 1.55
O (0.7247, 0.1348, 0.2261)  1 P 1.50
O (0.7264, 0.4243, 0.0837)  1 P 1.54
O (0.7437, 0.1081, 0.0546)  1 P 1.61
O (0.7746, 0.8772, 0.3644)  1 P 1.60
O (0.7840, 0.9274, 0.5826)  1 P 1.53
O (0.8007, 0.1068, 0.7066)  1 P 1.54
O (0.8301, 0.1929, 0.5537)  1 P 1.55
O (0.9078, 0.6078, 0.6043)  1 P 1.58
O (0.9181, 0.6882, 0.0522)  1 P 1.53
O (0.9868, 0.3980, 0.7942)  1 P 1.55

Results
- total magnetization (μB per atom) = 0.000
- total energy after the MP2020 corrections (Ry per atom) = -0.4610
- crystal system = triclinic

---

Au | PBE-GGA | relaxed

abc: 2.8705 2.8705 2.8705
angles: 109.47 109.47 109.47
Last column: nearest neighbours and their distance in Å.
Positions (direct):
Au (0.0000, 0.0000, 0.0000)  8 Au 2.87

Results
- total magnetization (μB per atom) = 0.000
- offset from the most stable computed form (meV per atom) = 21.9
- crystal system = cubic

---

Gd3Si | PBE-GGA | relaxed

abc: 6.7318 6.7318 5.1997
angles: 90.00 90.00 120.00
Last column: nearest neighbours and their distance in Å.
Positions (direct):
Gd (0.1772, 0.3544, 0.2500)  6 Gd 3.15-3.32, 4 Si 3.17-3.37
Gd (0.1772, 0.8228, 0.2500)  6 Gd 3.15-3.32, 4 Si 3.17-3.37
Gd (0.3544, 0.1772, 0.7500)  6 Gd 3.15-3.32, 4 Si 3.17-3.37
Gd (0.6456, 0.8228, 0.2500)  6 Gd 3.15-3.32, 4 Si 3.17-3.37
Gd (0.8228, 0.1772, 0.7500)  6 Gd 3.15-3.32, 4 Si 3.17-3.37
Gd (0.8228, 0.6456, 0.7500)  6 Gd 3.15-3.32, 4 Si 3.17-3.37
Si (0.3333, 0.6667, 0.7500)  12 Gd 3.17-3.37
Si (0.6667, 0.3333, 0.2500)  12 Gd 3.17-3.37

Results
- total magnetization (μB per atom) = 5.613
- total energy after the MP2020 corrections (Ry per atom) = -0.8950
- crystal system = hexagonal

---

Pr2MgCd | PBE-GGA | relaxed

abc: 5.5048 5.5048 5.5048
angles: 60.00 60.00 60.00
Last column: nearest neighbours and their distance in Å.
Positions (direct):
Pr (0.2500, 0.2500, 0.2500)  4 Cd 3.37, 4 Mg 3.37
Pr (0.7500, 0.7500, 0.7500)  4 Cd 3.37, 4 Mg 3.37
Mg (0.0000, 0.0000, 0.0000)  8 Pr 3.37
Cd (0.5000, 0.5000, 0.5000)  8 Pr 3.37

Results
- crystal system = cubic

---

Ba3Sr | PBE-GGA | relaxed

abc: 8.8684 8.8684 7.2140
angles: 90.00 90.00 120.00
Last column: nearest neighbours and their distance in Å.
Positions (direct):
Ba (0.1664, 0.3327, 0.2500)  8 Ba 4.42-4.44, 4 Sr 4.43
Ba (0.1664, 0.8336, 0.2500)  8 Ba 4.42-4.44, 4 Sr 4.43
Ba (0.3327, 0.1664, 0.7500)  8 Ba 4.42-4.44, 4 Sr 4.43
Ba (0.6673, 0.8336, 0.2500)  8 Ba 4.42-4.44, 4 Sr 4.43
Ba (0.8336, 0.1664, 0.7500)  8 Ba 4.42-4.44, 4 Sr 4.43
Ba (0.8336, 0.6673, 0.7500)  8 Ba 4.42-4.44, 4 Sr 4.43
Sr (0.3333, 0.6667, 0.7500)  12 Ba 4.43
Sr (0.6667, 0.3333, 0.2500)  12 Ba 4.43

Results
- offset from the most stable computed form (meV per atom) = 14.3
- crystal system = hexagonal

---

Hf5N5O2 | PBE-GGA | relaxed

abc: 5.4307 5.4307 9.1171
angles: 104.83 104.83 32.81
Last column: nearest neighbours and their distance in Å.
Positions (direct):
Hf (0.0000, 0.0000, 0.0000)  2 O 2.11, 4 N 2.19
Hf (0.1140, 0.1140, 0.4234)  5 N 2.17-2.22, 1 O 2.18
Hf (0.2977, 0.2977, 0.1931)  2 O 2.22, 5 N 2.28-2.41
Hf (0.7023, 0.7023, 0.8069)  2 O 2.22, 5 N 2.28-2.41
Hf (0.8860, 0.8860, 0.5766)  5 N 2.17-2.22, 1 O 2.18
N (0.2615, 0.2615, 0.6479)  5 Hf 2.21-2.30
N (0.3447, 0.3447, 0.9481)  5 Hf 2.19-2.41
N (0.5000, 0.5000, 0.5000)  4 Hf 2.17
N (0.6553, 0.6553, 0.0519)  5 Hf 2.19-2.41
N (0.7385, 0.7385, 0.3521)  5 Hf 2.21-2.30
O (0.0450, 0.0450, 0.7871)  4 Hf 2.11-2.22
O (0.9550, 0.9550, 0.2129)  4 Hf 2.11-2.22

Results
- total magnetization (μB per atom) = 0.001
- total energy after the MP2020 corrections (Ry per atom) = -0.7846
- offset from the most stable computed form (meV per atom) = 0.0
- crystal system = monoclinic

---

So what do the calculations give for energy of formation? Going down the list: -1599 22 -263 -204 16 -2228 meV/atom.